Crystalline Li4TiCrO6 at its relaxed geometry, computed with PBE with a Hubbard U.

Calculated total energy   -319.98 eV/cell
Energy of formation from the pure elements   -2.604 eV/atom

a = 5.0654 Å, b = 8.7679 Å, c = 9.8032 Å
α = 98.38°, β = 94.92°, γ = 90.06°
Closest atoms and distances in Å follow each position.
Space group P1 (No. 1)
Symmetry-distinct sites (fractional):
Li 0.0000 0.0000 0.0000  6 O 2.07-2.26
Li 0.0030 0.3289 0.9999  6 O 2.03-2.24
Li 0.0141 0.6553 0.9995  6 O 2.08-2.26
Li 0.1324 0.4522 0.7485  6 O 2.10-2.13
Li 0.2486 0.2422 0.4969  6 O 2.06-2.28
Li 0.2572 0.5801 0.4974  6 O 2.03-2.23
Li 0.2676 0.9102 0.4988  6 O 2.07-2.24
Li 0.3821 0.7005 0.2485  6 O 2.10-2.14
Li 0.4990 0.4979 0.9979  6 O 2.09-2.20
Li 0.5078 0.8292 0.9975  6 O 2.04-2.24
Li 0.5177 0.1546 0.9972  6 O 2.11-2.27
Li 0.6321 0.9531 0.7488  6 O 2.12-2.13
Li 0.7447 0.7430 0.4990  6 O 2.08-2.23
Li 0.7521 0.0802 0.5004  6 O 2.03-2.20
Li 0.7682 0.4114 0.5010  6 O 2.08-2.26
Li 0.8816 0.2004 0.2492  6 O 2.09-2.15
Ti 0.1259 0.7858 0.7452  6 O 1.94-2.04
Ti 0.1368 0.1204 0.7526  6 O 1.94-2.03
Ti 0.3831 0.3710 0.2492  6 O 1.95-2.00
Ti 0.8828 0.8712 0.2500  6 O 1.95-1.99
Cr 0.3813 0.0345 0.2479  6 O 1.91-2.00
Cr 0.6247 0.6169 0.7480  6 O 1.88-2.00
Cr 0.6384 0.2889 0.7500  6 O 1.88-2.00
Cr 0.8815 0.5346 0.2487  6 O 1.91-2.00
O 0.0430 0.7184 0.3607  1 Cr 1.95, 1 Ti 1.98, 3 Li 2.11-2.16
O 0.0744 0.4035 0.3636  1 Cr 1.93, 1 Ti 2.00, 3 Li 2.04-2.15
O 0.0756 0.0433 0.3633  1 Ti 1.95, 1 Cr 1.99, 3 Li 2.07-2.16
O 0.1880 0.5045 0.1320  1 Ti 1.97, 1 Cr 2.00, 4 Li 2.03-2.13
O 0.1924 0.8655 0.1367  1 Cr 1.91, 1 Ti 1.99, 2 Li 2.09-2.12
O 0.2216 0.1817 0.1371  1 Cr 1.94, 1 Ti 1.99, 2 Li 2.11
O 0.2925 0.9715 0.8632  2 Ti 1.94-2.00, 3 Li 2.07-2.17
O 0.3332 0.2953 0.8612  1 Ti 1.95, 1 Cr 1.96, 3 Li 2.10-2.18
O 0.3380 0.6485 0.8636  1 Cr 1.91, 1 Ti 2.04, 3 Li 2.04-2.13
O 0.4308 0.7565 0.6327  1 Ti 1.97, 1 Cr 1.99, 4 Li 2.03-2.14
O 0.4380 0.1163 0.6374  1 Cr 1.96, 1 Ti 1.97, 3 Li 2.06-2.16
O 0.4692 0.4404 0.6375  2 Cr 1.88-2.00, 2 Li 2.10
O 0.5428 0.2184 0.3603  1 Cr 1.95, 1 Ti 1.98, 3 Li 2.08-2.17
O 0.5733 0.9035 0.3632  1 Cr 1.93, 1 Ti 1.99, 3 Li 2.05-2.14
O 0.5751 0.5428 0.3632  1 Ti 1.95, 1 Cr 1.99, 4 Li 2.08-2.17
O 0.6890 0.0045 0.1322  1 Ti 1.97, 1 Cr 2.00, 4 Li 2.04-2.13
O 0.6926 0.3659 0.1369  1 Cr 1.91, 1 Ti 1.99, 2 Li 2.10-2.13
O 0.7223 0.6815 0.1375  1 Cr 1.94, 1 Ti 1.99, 2 Li 2.08-2.11
O 0.7948 0.4648 0.8604  2 Cr 1.88-2.00, 2 Li 2.09-2.10
O 0.8273 0.7891 0.8611  1 Ti 1.97, 1 Cr 1.97, 3 Li 2.09-2.18
O 0.8332 0.1496 0.8654  1 Ti 1.97, 1 Cr 1.99, 4 Li 2.04-2.14
O 0.9267 0.2578 0.6343  1 Cr 1.92, 1 Ti 2.03, 3 Li 2.03-2.12
O 0.9312 0.6102 0.6372  1 Ti 1.95, 1 Cr 1.97, 3 Li 2.08-2.15
O 0.9710 0.9346 0.6343  2 Ti 1.94-2.00, 2 Li 2.08-2.12